# RuF3

An optimized crystal structure of RuF3 (meta-GGA r2SCAN, the Materials Project).

## Properties
**DFT total energy**: -0.773 Ry/atom

a = 4.9120 Å, b = 4.9791 Å, c = 5.3866 Å
α = 90.28°, β = 117.08°, γ = 119.48°
Last column: nearest neighbours and their distance in Å.
Fractional positions:
Ru1 0.0000 0.0000 0.0000  6 F 1.98-2.02
Ru2 0.0000 0.5000 0.5000  6 F 1.98-2.02
F1 0.1543 0.2483 0.7487  2 Ru 1.99
F2 0.1596 0.4128 0.2499  2 Ru 1.98-2.02
F3 0.4971 0.0884 0.2489  2 Ru 1.98-2.02
F4 0.5029 0.9116 0.7511  2 Ru 1.98-2.02
F5 0.8404 0.5872 0.7501  2 Ru 1.98-2.02
F6 0.8457 0.7517 0.2513  2 Ru 1.99

=====

# RuF5

An optimized crystal structure of RuF5 (meta-GGA r2SCAN, the Materials Project).

## Properties
**DFT total energy**: -0.641 Ry/atom

a = 5.3915 Å, b = 9.8133 Å, c = 12.2870 Å
α = 90.00°, β = 99.46°, γ = 90.00°
Last column: nearest neighbours and their distance in Å.
Fractional positions:
Ru1 0.0054 0.2429 0.4980  6 F 1.81-2.02
Ru2 0.0054 0.2571 0.9980  6 F 1.81-2.02
Ru3 0.3075 0.5037 0.7028  6 F 1.81-2.02
Ru4 0.3075 0.9963 0.2028  6 F 1.81-2.02
Ru5 0.6925 0.0037 0.7972  6 F 1.81-2.02
Ru6 0.6925 0.4963 0.2972  6 F 1.81-2.02
Ru7 0.9946 0.7429 0.0020  6 F 1.81-2.02
Ru8 0.9946 0.7571 0.5020  6 F 1.81-2.02
F1 0.0197 0.5753 0.7433  1 Ru 1.85
F2 0.0197 0.9247 0.2433  1 Ru 1.85
F3 0.0943 0.6659 0.1366  1 Ru 1.82
F4 0.0943 0.8341 0.6366  1 Ru 1.82
F5 0.0962 0.1577 0.1423  2 Ru 2.01-2.02
F6 0.0962 0.3423 0.6423  2 Ru 2.01-2.02
F7 0.1949 0.0979 0.5526  1 Ru 1.81
F8 0.1949 0.4021 0.0526  1 Ru 1.81
F9 0.1984 0.5904 0.5542  2 Ru 2.01-2.02
F10 0.1984 0.9096 0.0542  2 Ru 2.01-2.02
F11 0.2732 0.6777 0.9500  1 Ru 1.84
F12 0.2732 0.8223 0.4500  1 Ru 1.84
F13 0.2760 0.1722 0.9526  1 Ru 1.84
F14 0.2760 0.3278 0.4526  1 Ru 1.84
F15 0.3923 0.0846 0.3334  1 Ru 1.82
F16 0.3923 0.4154 0.8334  1 Ru 1.82
F17 0.4296 0.5737 0.3536  1 Ru 1.84
F18 0.4296 0.9263 0.8536  1 Ru 1.84
F19 0.4873 0.6555 0.7481  1 Ru 1.81
F20 0.4873 0.8445 0.2481  1 Ru 1.81
F21 0.5127 0.1555 0.7519  1 Ru 1.81
F22 0.5127 0.3445 0.2519  1 Ru 1.81
F23 0.5704 0.0737 0.1464  1 Ru 1.84
F24 0.5704 0.4263 0.6464  1 Ru 1.84
F25 0.6077 0.5846 0.1666  1 Ru 1.82
F26 0.6077 0.9154 0.6666  1 Ru 1.82
F27 0.7240 0.6722 0.5474  1 Ru 1.84
F28 0.7240 0.8278 0.0474  1 Ru 1.84
F29 0.7268 0.1777 0.5500  1 Ru 1.84
F30 0.7268 0.3223 0.0500  1 Ru 1.84
F31 0.8016 0.0904 0.9458  2 Ru 2.01-2.02
F32 0.8016 0.4096 0.4458  2 Ru 2.01-2.02
F33 0.8051 0.5979 0.9474  1 Ru 1.81
F34 0.8051 0.9021 0.4474  1 Ru 1.81
F35 0.9038 0.6577 0.3577  2 Ru 2.01-2.02
F36 0.9038 0.8423 0.8577  2 Ru 2.01-2.02
F37 0.9057 0.1659 0.3634  1 Ru 1.82
F38 0.9057 0.3341 0.8634  1 Ru 1.82
F39 0.9803 0.0753 0.7567  1 Ru 1.85
F40 0.9803 0.4247 0.2567  1 Ru 1.85

=====

# RuF6

An optimized crystal structure of RuF6 (meta-GGA r2SCAN, the Materials Project).

## Properties
**DFT total energy**: -0.587 Ry/atom

a = 9.0576 Å, b = 8.3858 Å, c = 4.8222 Å
α = 90.00°, β = 90.00°, γ = 90.00°
Last column: nearest neighbours and their distance in Å.
Fractional positions:
Ru1 0.1283 0.2500 0.0812  6 F 1.83-1.84
Ru2 0.3717 0.7500 0.5812  6 F 1.83-1.84
Ru3 0.6283 0.2500 0.4188  6 F 1.83-1.84
Ru4 0.8717 0.7500 0.9188  6 F 1.83-1.84
F1 0.0109 0.0960 0.2366  1 Ru 1.83
F2 0.0109 0.4040 0.2366  1 Ru 1.83
F3 0.0115 0.2500 0.7708  1 Ru 1.83
F4 0.2453 0.0959 0.9263  1 Ru 1.83
F5 0.2455 0.2500 0.3916  1 Ru 1.84
F6 0.2453 0.4041 0.9263  1 Ru 1.83
F7 0.2547 0.5959 0.4263  1 Ru 1.83
F8 0.2545 0.7500 0.8916  1 Ru 1.84
F9 0.2547 0.9041 0.4263  1 Ru 1.83
F10 0.4885 0.7500 0.2708  1 Ru 1.83
F11 0.4891 0.5960 0.7366  1 Ru 1.83
F12 0.4891 0.9040 0.7366  1 Ru 1.83
F13 0.5109 0.0960 0.2634  1 Ru 1.83
F14 0.5109 0.4040 0.2634  1 Ru 1.83
F15 0.5115 0.2500 0.7292  1 Ru 1.83
F16 0.7453 0.0959 0.5737  1 Ru 1.83
F17 0.7455 0.2500 0.1084  1 Ru 1.84
F18 0.7453 0.4041 0.5737  1 Ru 1.83
F19 0.7547 0.5959 0.0737  1 Ru 1.83
F20 0.7545 0.7500 0.6083  1 Ru 1.84
F21 0.7547 0.9041 0.0737  1 Ru 1.83
F22 0.9885 0.7500 0.2292  1 Ru 1.83
F23 0.9891 0.5960 0.7634  1 Ru 1.83
F24 0.9891 0.9040 0.7634  1 Ru 1.83

=====

# SmSF

An optimized crystal structure of SmSF (meta-GGA r2SCAN, the Materials Project).

## Properties
**DFT total energy**: -1.248 Ry/atom

a = 3.8754 Å, b = 3.8754 Å, c = 6.8851 Å
α = 90.00°, β = 90.00°, γ = 90.00°
Last column: nearest neighbours and their distance in Å.
Fractional positions:
Sm1 0.2500 0.2500 0.2275  4 F 2.49
Sm2 0.7500 0.7500 0.7725  4 F 2.49
S1 0.2500 0.2500 0.6472  5 Sm 2.87-2.89, 4 F 3.11
S2 0.7500 0.7500 0.3528  5 Sm 2.87-2.89, 4 F 3.11
F1 0.2500 0.7500 0.0000  4 Sm 2.49, 4 F 2.74
F2 0.7500 0.2500 0.0000  4 Sm 2.49, 4 F 2.74

=====

# SbF3

An optimized crystal structure of SbF3 (meta-GGA r2SCAN, the Materials Project).

## Properties
**DFT total energy**: -0.827 Ry/atom

a = 7.1373 Å, b = 4.3666 Å, c = 4.3666 Å
α = 113.03°, β = 90.00°, γ = 90.00°
Last column: nearest neighbours and their distance in Å.
Fractional positions:
Sb1 0.2500 0.2060 0.7940  3 F 1.97
Sb2 0.7500 0.7940 0.2060  3 F 1.97
F1 0.0687 0.0181 0.4270  1 Sb 1.97
F2 0.2500 0.6023 0.6817  1 Sb 1.97
F3 0.4313 0.0181 0.4270  1 Sb 1.97
F4 0.5687 0.4270 0.0181  1 Sb 1.97
F5 0.7500 0.6817 0.6023  1 Sb 1.97
F6 0.9313 0.4270 0.0181  1 Sb 1.97

=====

# Sb2F7

An optimized crystal structure of Sb2F7 (meta-GGA r2SCAN, the Materials Project).

## Properties
**DFT total energy**: -0.781 Ry/atom

a = 4.7002 Å, b = 10.7390 Å, c = 10.7379 Å
α = 90.00°, β = 95.22°, γ = 90.00°
Last column: nearest neighbours and their distance in Å.
Fractional positions:
Sb1 0.0726 0.2500 0.4765  6 F 1.89-1.90
Sb2 0.3075 0.5603 0.2290  3 F 1.92-2.15
Sb3 0.3075 0.9397 0.2290  3 F 1.92-2.15
Sb4 0.3616 0.7500 0.9221  3 F 1.92-2.05
Sb5 0.6384 0.2500 0.0779  3 F 1.92-2.05
Sb6 0.6925 0.0603 0.7710  3 F 1.92-2.15
Sb7 0.6925 0.4397 0.7710  3 F 1.92-2.15
Sb8 0.9274 0.7500 0.5235  6 F 1.89-1.90
F1 0.0878 0.0120 0.7831  1 Sb 1.92
F2 0.0878 0.4880 0.7831  1 Sb 1.92
F3 0.1422 0.6249 0.4487  1 Sb 1.90
F4 0.1422 0.8751 0.4487  1 Sb 1.90
F5 0.1606 0.7500 0.2163  2 Sb 2.15
F6 0.1937 0.7500 0.6663  1 Sb 1.89
F7 0.2519 0.5837 0.0438  1 Sb 2.00
F8 0.2519 0.9163 0.0438  1 Sb 2.00
F9 0.2885 0.1241 0.4052  1 Sb 1.89
F10 0.2885 0.3759 0.4052  1 Sb 1.89
F11 0.3341 0.2500 0.6220  1 Sb 1.90
F12 0.3532 0.2500 0.9374  1 Sb 1.92
F13 0.3644 0.1275 0.1515  2 Sb 2.05-2.21
F14 0.3644 0.3725 0.1515  2 Sb 2.05-2.21
F15 0.6356 0.6275 0.8485  2 Sb 2.05-2.21
F16 0.6356 0.8725 0.8485  2 Sb 2.05-2.21
F17 0.6468 0.7500 0.0626  1 Sb 1.92
F18 0.6659 0.7500 0.3780  1 Sb 1.90
F19 0.7115 0.6241 0.5948  1 Sb 1.89
F20 0.7115 0.8759 0.5948  1 Sb 1.89
F21 0.7481 0.0837 0.9562  1 Sb 2.00
F22 0.7481 0.4163 0.9562  1 Sb 2.00
F23 0.8063 0.2500 0.3337  1 Sb 1.89
F24 0.8394 0.2500 0.7837  2 Sb 2.15
F25 0.8578 0.1249 0.5513  1 Sb 1.90
F26 0.8578 0.3751 0.5513  1 Sb 1.90
F27 0.9122 0.5120 0.2169  1 Sb 1.92
F28 0.9122 0.9880 0.2169  1 Sb 1.92

=====

# Sn3SbF9

An optimized crystal structure of Sn3SbF9 (meta-GGA r2SCAN, the Materials Project).

## Properties
**DFT total energy**: -0.901 Ry/atom

a = 4.6271 Å, b = 9.1587 Å, c = 20.8391 Å
α = 90.00°, β = 90.00°, γ = 90.00°
Last column: nearest neighbours and their distance in Å.
Fractional positions:
Sn1 0.0211 0.0169 0.1209  3 F 2.09-2.23
Sn2 0.0211 0.0169 0.3791  3 F 2.09-2.23
Sn3 0.0211 0.4831 0.6209  3 F 2.09-2.23
Sn4 0.0211 0.4831 0.8791  3 F 2.09-2.23
Sn5 0.4560 0.7500 0.0000  4 F 2.12-2.30
Sn6 0.4560 0.7500 0.5000  4 F 2.12-2.30
Sn7 0.5440 0.2500 0.0000  4 F 2.12-2.30
Sn8 0.5440 0.2500 0.5000  4 F 2.12-2.30
Sn9 0.9789 0.5169 0.1209  3 F 2.09-2.23
Sn10 0.9789 0.5169 0.3791  3 F 2.09-2.23
Sn11 0.9789 0.9831 0.6209  3 F 2.09-2.23
Sn12 0.9789 0.9831 0.8791  3 F 2.09-2.23
Sb1 0.4320 0.2482 0.2500  3 F 1.95-2.02
Sb2 0.4320 0.2518 0.7500  3 F 1.95-2.02
Sb3 0.5680 0.7482 0.2500  3 F 1.95-2.02
Sb4 0.5680 0.7518 0.7500  3 F 1.95-2.02
F1 0.1171 0.6790 0.5608  2 Sn 2.12-2.23
F2 0.1171 0.6790 0.9392  2 Sn 2.12-2.23
F3 0.1171 0.8210 0.0608  2 Sn 2.12-2.23
F4 0.1171 0.8210 0.4392  2 Sn 2.12-2.23
F5 0.2730 0.1305 0.6609  1 Sn 2.09, 1 Sb 2.29
F6 0.2730 0.1305 0.8391  1 Sn 2.09, 1 Sb 2.29
F7 0.2730 0.3695 0.1609  1 Sn 2.09, 1 Sb 2.29
F8 0.2730 0.3695 0.3391  1 Sn 2.09, 1 Sb 2.29
F9 0.2796 0.6733 0.1854  1 Sb 2.02
F10 0.2796 0.6733 0.3146  1 Sb 2.02
F11 0.2796 0.8267 0.6854  1 Sb 2.02
F12 0.2796 0.8267 0.8146  1 Sb 2.02
F13 0.3091 0.5414 0.0523  2 Sn 2.10-2.30
F14 0.3091 0.5414 0.4477  2 Sn 2.10-2.30
F15 0.3091 0.9586 0.5523  2 Sn 2.10-2.30
F16 0.3091 0.9586 0.9477  2 Sn 2.10-2.30
F17 0.3221 0.5792 0.7500  1 Sb 1.95
F18 0.3221 0.9208 0.2500  1 Sb 1.95
F19 0.6779 0.0792 0.7500  1 Sb 1.95
F20 0.6779 0.4208 0.2500  1 Sb 1.95
F21 0.6909 0.0414 0.0523  2 Sn 2.10-2.30
F22 0.6909 0.0414 0.4477  2 Sn 2.10-2.30
F23 0.6909 0.4586 0.5523  2 Sn 2.10-2.30
F24 0.6909 0.4586 0.9477  2 Sn 2.10-2.30
F25 0.7204 0.1733 0.1854  1 Sb 2.02
F26 0.7204 0.1733 0.3146  1 Sb 2.02
F27 0.7204 0.3267 0.6854  1 Sb 2.02
F28 0.7204 0.3267 0.8146  1 Sb 2.02
F29 0.7270 0.6305 0.6609  1 Sn 2.09, 1 Sb 2.29
F30 0.7270 0.6305 0.8391  1 Sn 2.09, 1 Sb 2.29
F31 0.7270 0.8695 0.1609  1 Sn 2.09, 1 Sb 2.29
F32 0.7270 0.8695 0.3391  1 Sn 2.09, 1 Sb 2.29
F33 0.8829 0.1790 0.5608  2 Sn 2.12-2.23
F34 0.8829 0.1790 0.9392  2 Sn 2.12-2.23
F35 0.8829 0.3210 0.0608  2 Sn 2.12-2.23
F36 0.8829 0.3210 0.4392  2 Sn 2.12-2.23

=====

# Sb2TeF14

An optimized crystal structure of Sb2TeF14 (meta-GGA r2SCAN, the Materials Project).

## Properties
**DFT total energy**: -0.695 Ry/atom

a = 7.3786 Å, b = 14.1990 Å, c = 9.3830 Å
α = 90.00°, β = 91.16°, γ = 90.00°
Last column: nearest neighbours and their distance in Å.
Fractional positions:
Sb1 0.1101 0.0532 0.2618  6 F 1.85-2.02
Sb2 0.1101 0.4468 0.7618  6 F 1.85-2.02
Sb3 0.3288 0.1122 0.7675  6 F 1.86-2.03
Sb4 0.3288 0.3878 0.2675  6 F 1.86-2.03
Sb5 0.6712 0.6122 0.7325  6 F 1.86-2.03
Sb6 0.6712 0.8878 0.2325  6 F 1.86-2.03
Sb7 0.8899 0.5532 0.2382  6 F 1.85-2.02
Sb8 0.8899 0.9468 0.7382  6 F 1.85-2.02
Te1 0.2120 0.7300 0.5258  3 F 1.84-1.86
Te2 0.2120 0.7700 0.0258  3 F 1.84-1.86
Te3 0.7880 0.2300 0.9742  3 F 1.84-1.86
Te4 0.7880 0.2700 0.4742  3 F 1.84-1.86
F1 0.0084 0.5958 0.4083  1 Sb 1.90
F2 0.0084 0.9042 0.9083  1 Sb 1.90
F3 0.0355 0.6429 0.1402  1 Sb 1.91
F4 0.0355 0.8571 0.6402  1 Sb 1.91
F5 0.0976 0.7166 0.8664  1 Te 1.86
F6 0.0976 0.7834 0.3664  1 Te 1.86
F7 0.1110 0.0295 0.7197  2 Sb 2.02-2.03
F8 0.1110 0.4705 0.2197  2 Sb 2.02-2.03
F9 0.1632 0.1917 0.8592  1 Sb 1.88
F10 0.1632 0.3083 0.3592  1 Sb 1.88
F11 0.1824 0.0017 0.4358  1 Sb 1.86
F12 0.1824 0.4983 0.9358  1 Sb 1.86
F13 0.2030 0.5501 0.6612  1 Sb 1.88
F14 0.2030 0.9499 0.1612  1 Sb 1.88
F15 0.2810 0.1760 0.5971  1 Sb 1.87
F16 0.2810 0.3240 0.0971  1 Sb 1.87
F17 0.3034 0.1349 0.2397  1 Sb 1.85
F18 0.3034 0.3651 0.7397  1 Sb 1.85
F19 0.3507 0.0453 0.9379  1 Sb 1.86
F20 0.3507 0.4547 0.4379  1 Sb 1.86
F21 0.3617 0.6659 0.4037  1 Te 1.85
F22 0.3617 0.8341 0.9037  1 Te 1.85
F23 0.3670 0.6685 0.0281  1 Te 1.84
F24 0.3670 0.8315 0.5281  1 Te 1.84
F25 0.4632 0.6891 0.6878  1 Sb 1.92
F26 0.4632 0.8109 0.1878  1 Sb 1.92
F27 0.4659 0.0219 0.6741  1 Sb 1.86
F28 0.4659 0.4781 0.1741  1 Sb 1.86
F29 0.5341 0.5219 0.8259  1 Sb 1.86
F30 0.5341 0.9781 0.3259  1 Sb 1.86
F31 0.5368 0.1891 0.8122  1 Sb 1.92
F32 0.5368 0.3109 0.3122  1 Sb 1.92
F33 0.6330 0.1685 0.4719  1 Te 1.84
F34 0.6330 0.3315 0.9719  1 Te 1.84
F35 0.6383 0.1659 0.0963  1 Te 1.85
F36 0.6383 0.3341 0.5963  1 Te 1.85
F37 0.6493 0.5453 0.5621  1 Sb 1.86
F38 0.6493 0.9547 0.0621  1 Sb 1.86
F39 0.6966 0.6349 0.2603  1 Sb 1.85
F40 0.6966 0.8651 0.7603  1 Sb 1.85
F41 0.7190 0.6760 0.9029  1 Sb 1.87
F42 0.7190 0.8240 0.4029  1 Sb 1.87
F43 0.7970 0.0501 0.8388  1 Sb 1.88
F44 0.7970 0.4499 0.3388  1 Sb 1.88
F45 0.8176 0.5017 0.0642  1 Sb 1.86
F46 0.8176 0.9983 0.5642  1 Sb 1.86
F47 0.8368 0.6917 0.6408  1 Sb 1.88
F48 0.8368 0.8083 0.1408  1 Sb 1.88
F49 0.8890 0.5295 0.7803  2 Sb 2.02-2.03
F50 0.8890 0.9705 0.2803  2 Sb 2.02-2.03
F51 0.9024 0.2166 0.6336  1 Te 1.86
F52 0.9024 0.2834 0.1336  1 Te 1.86
F53 0.9645 0.1429 0.3598  1 Sb 1.91
F54 0.9645 0.3571 0.8598  1 Sb 1.91
F55 0.9916 0.0958 0.0917  1 Sb 1.90
F56 0.9916 0.4042 0.5917  1 Sb 1.90